1.
Zn2Fe9O13 | GGA+U | relaxed

Cell lengths 5.2707, 5.2707, 17.2411 Å; angles 82.00, 82.00, 32.90 degrees
Last column: nearest neighbours and their distance in Å.
Fractional coordinates of all 24 atoms:
1 O 0.0000 0.0000 0.0000  4 Fe 2.18
2 O 0.8577 0.8577 0.4627  5 Fe 2.07-2.23
3 O 0.1499 0.1499 0.2286  2 Fe 1.99, 2 Zn 2.05
4 O 0.3784 0.3784 0.6061  5 Fe 2.05-2.28
5 O 0.1423 0.1423 0.5373  5 Fe 2.07-2.23
6 O 0.6216 0.6216 0.3939  5 Fe 2.05-2.28
7 O 0.5873 0.5873 0.8550  3 Fe 1.93-2.14
8 O 0.7121 0.7121 0.0655  5 Fe 2.05-2.28
9 O 0.6333 0.6333 0.6848  3 Fe 1.95-2.14
10 O 0.8501 0.8501 0.7714  2 Fe 1.99, 2 Zn 2.05
11 O 0.4127 0.4127 0.1450  3 Fe 1.93-2.14
12 O 0.3667 0.3667 0.3152  3 Fe 1.95-2.14
13 O 0.2879 0.2879 0.9345  5 Fe 2.05-2.28
14 Fe 0.2518 0.2518 0.4161  5 O 1.95-2.07
15 Fe 0.9851 0.9851 0.6755  3 O 1.99-2.14
16 Fe 0.5000 0.5000 0.5000  6 O 2.05-2.23
17 Fe 0.9333 0.9333 0.8690  3 O 1.99-2.14
18 Fe 0.7482 0.7482 0.5839  5 O 1.95-2.07
19 Fe 0.6489 0.6489 0.9559  4 O 1.93-2.08
20 Fe 0.3511 0.3511 0.0441  4 O 1.93-2.08
21 Fe 0.0149 0.0149 0.3245  3 O 1.99-2.14
22 Fe 0.0667 0.0667 0.1310  3 O 1.99-2.14
23 Zn 0.7891 0.7891 0.2297  2 O 2.05
24 Zn 0.2109 0.2109 0.7703  2 O 2.05

- Energy: -150.4 eV for the cell shown
- Formation energy: -1.524 eV/atom
- M_tot: 40.001 μB/cell
- SG: C2/m, No. 12
- Energy with MP2020 corrections: -7.49 eV/atom

2.
BaMnGaF7 | GGA+U | relaxed

Cell lengths 7.5032, 7.5032, 14.9132 Å; angles 88.92, 88.92, 41.99 degrees
Last column: nearest neighbours and their distance in Å.
Fractional coordinates of all 40 atoms:
1 F 0.5261 0.3605 0.6285  2 Mn 2.11
2 F 0.8419 0.3984 0.7027  1 Ga 1.90
3 F 0.1908 0.3054 0.5894  1 Ga 1.90
4 F 0.3605 0.5261 0.1285  2 Mn 2.11
5 F 0.3054 0.1908 0.0894  1 Ga 1.90
6 F 0.9113 0.2529 0.5195  1 Ga 1.92, 1 Mn 2.13
7 F 0.8092 0.6946 0.4106  1 Ga 1.90
8 F 0.1161 0.8951 0.8414  1 Ga 1.90
9 F 0.4739 0.6395 0.3715  2 Mn 2.11
10 F 0.0887 0.7471 0.4805  1 Ga 1.92, 1 Mn 2.13
11 F 0.1700 0.5723 0.9535  1 Ga 1.98
12 F 0.0501 0.6208 0.7781  1 Ga 1.95
13 F 0.6208 0.0501 0.2781  1 Ga 1.95
14 F 0.4277 0.8300 0.5465  1 Ga 1.98
15 F 0.8300 0.4277 0.0465  1 Ga 1.98
16 F 0.8951 0.1161 0.3414  1 Ga 1.90
17 F 0.6946 0.8092 0.9106  1 Ga 1.90
18 F 0.2529 0.9113 0.0195  1 Ga 1.92, 1 Mn 2.13
19 F 0.6395 0.4739 0.8715  2 Mn 2.11
20 F 0.9499 0.3792 0.2219  1 Ga 1.95
21 F 0.6016 0.1581 0.7973  1 Ga 1.90
22 F 0.1049 0.8839 0.6586  1 Ga 1.90
23 F 0.8839 0.1049 0.1586  1 Ga 1.90
24 F 0.1581 0.6016 0.2973  1 Ga 1.90
25 F 0.5723 0.1700 0.4535  1 Ga 1.98
26 F 0.7471 0.0887 0.9805  1 Ga 1.92, 1 Mn 2.13
27 F 0.3792 0.9499 0.7219  1 Ga 1.95
28 F 0.3984 0.8419 0.2027  1 Ga 1.90
29 Ga 0.8844 0.8770 0.8744  6 F 1.90-1.98
30 Ga 0.1230 0.1156 0.6256  6 F 1.90-1.98
31 Ga 0.1156 0.1230 0.1256  6 F 1.90-1.98
32 Ga 0.8770 0.8844 0.3744  6 F 1.90-1.98
33 Ba 0.2338 0.1451 0.3784  9 F 2.74-2.96
34 Ba 0.7662 0.8550 0.6216  9 F 2.74-2.96
35 Ba 0.1451 0.2338 0.8784  9 F 2.74-2.96
36 Ba 0.8550 0.7662 0.1216  9 F 2.74-2.96
37 Mn 0.5000 0.5000 0.0000  6 F 2.11-2.23
38 Mn 0.5000 0.5000 0.5000  6 F 2.11-2.23
39 Mn 0.4550 0.5450 0.7500  6 F 2.11-2.31
40 Mn 0.5450 0.4550 0.2500  6 F 2.11-2.31

- Energy: -224.4 eV for the cell shown
- Formation energy: -3.349 eV/atom
- M_tot: 20.002 μB/cell
- SG: C2/c, No. 15
- Energy with MP2020 corrections: -6.10 eV/atom

3.
Ca4V5Te3O18 | GGA+U | relaxed

Cell lengths 9.1559, 9.1559, 11.5257 Å; angles 85.25, 85.25, 69.65 degrees
Last column: nearest neighbours and their distance in Å.
Fractional coordinates of all 60 atoms:
1 O 0.7210 0.4612 0.7629  1 Te 2.01, 1 V 2.07
2 O 0.7119 0.7441 0.8245  3 V 1.90-2.04
3 O 0.1032 0.0125 0.8531  1 V 1.91
4 O 0.0917 0.7299 0.5057  1 V 1.69
5 O 0.2701 0.9083 0.4943  1 V 1.69
6 O 0.6174 0.6667 0.0479  1 V 1.78
7 O 0.0637 0.1512 0.0703  1 V 1.71
8 O 0.5438 0.6636 0.5444  2 V 1.92-1.97
9 O 0.0636 0.2105 0.5529  1 V 1.77
10 O 0.8554 0.6382 0.5890  1 V 1.78
11 O 0.3618 0.1446 0.4110  1 V 1.78
12 O 0.4204 0.7040 0.3302  1 Te 2.08, 1 V 2.09, 1 Ca 2.28
13 O 0.0670 0.4137 0.3493  1 Te 1.89
14 O 0.3333 0.3826 0.9521  1 V 1.78
15 O 0.9053 0.9063 0.6836  1 V 1.79
16 O 0.7636 0.6433 0.3017  1 Te 1.88
17 O 0.4421 0.7136 0.8039  2 V 1.97-2.17, 1 Te 2.07
18 O 0.2864 0.5579 0.1961  2 V 1.97-2.17, 1 Te 2.07
19 O 0.0937 0.0947 0.3164  1 V 1.79
20 O 0.3364 0.4562 0.4556  2 V 1.92-1.97
21 O 0.3567 0.2364 0.6983  1 Te 1.88
22 O 0.3137 0.8928 0.9940  2 V 1.86-1.93
23 O 0.0428 0.3404 0.7969  1 Te 1.95
24 O 0.6645 0.1691 0.7318  1 Te 1.97, 1 V 2.13
25 O 0.1072 0.6863 0.0060  2 V 1.86-1.93
26 O 0.5863 0.9330 0.6507  1 Te 1.89
27 O 0.5332 0.9947 0.9083  2 V 1.91-1.94
28 O 0.5388 0.2790 0.2371  1 Te 2.01, 1 V 2.07
29 O 0.9875 0.8968 0.1469  1 V 1.91
30 O 0.8309 0.3355 0.2682  1 Te 1.97, 1 V 2.13
31 O 0.0053 0.4668 0.0917  2 V 1.91-1.94
32 O 0.7895 0.9364 0.4471  1 V 1.77
33 O 0.2559 0.2881 0.1755  3 V 1.90-2.04
34 O 0.2960 0.5796 0.6698  1 Te 2.08, 1 V 2.09, 1 Ca 2.28
35 O 0.8488 0.9363 0.9297  1 V 1.71
36 O 0.6596 0.9572 0.2031  1 Te 1.95
37 V 0.1000 0.9000 0.0000  4 O 1.91-1.93
38 V 0.9040 0.8096 0.5552  4 O 1.69-1.79
39 V 0.7323 0.9438 0.8195  2 O 1.71-1.90
40 V 0.3187 0.3585 0.3193  4 O 1.92-2.07
41 V 0.1904 0.0960 0.4448  4 O 1.69-1.79
42 V 0.3432 0.6568 0.5000  6 O 1.97-2.16
43 V 0.5149 0.7927 0.9332  4 O 1.78-1.97
44 V 0.2073 0.4851 0.0668  4 O 1.78-1.97
45 V 0.0562 0.2677 0.1805  2 O 1.71-1.90
46 V 0.6415 0.6813 0.6807  4 O 1.92-2.07
47 Te 0.8538 0.4581 0.3936  3 O 1.88-1.97
48 Te 0.8579 0.4477 0.8936  2 O 1.95-2.01
49 Te 0.2140 0.7872 0.2434  3 O 2.07-2.30
50 Te 0.2128 0.7860 0.7566  3 O 2.07-2.30
51 Te 0.5523 0.1421 0.1064  2 O 1.95-2.01
52 Te 0.5419 0.1462 0.6064  3 O 1.88-1.97
53 Ca 0.1474 0.4385 0.6093  5 O 2.35-2.61
54 Ca 0.5737 0.5232 0.2059  4 O 2.25-2.50
55 Ca 0.2627 0.1515 0.8989  7 O 2.36-2.58
56 Ca 0.9347 0.1640 0.7231  4 O 2.26-2.45
57 Ca 0.8360 0.0653 0.2769  4 O 2.26-2.45
58 Ca 0.8485 0.7373 0.1011  7 O 2.36-2.58
59 Ca 0.5615 0.8526 0.3907  5 O 2.35-2.61
60 Ca 0.4768 0.4263 0.7941  4 O 2.25-2.50

- Energy: -405.1 eV for the cell shown
- Formation energy: -2.382 eV/atom
- M_tot: 11.999 μB/cell
- SG: C2, No. 5
- Energy with MP2020 corrections: -7.45 eV/atom

4.
Li9Mn2Co5O16 | GGA+U | relaxed

Cell lengths 3.0224, 8.0323, 11.9994 Å; angles 90.66, 95.23, 90.96 degrees
Last column: nearest neighbours and their distance in Å.
Fractional coordinates of all 32 atoms:
1 O 0.9760 0.7572 0.9937  1 Co 1.93, 1 Mn 1.96, 2 Li 2.07-2.15
2 O 0.5039 0.9746 0.3722  1 Co 1.74
3 O 0.9756 0.2630 0.2450  2 Co 1.92-1.93, 2 Li 2.13-2.15
4 O 0.4774 0.5202 0.3671  2 Co 1.92
5 O 0.5238 0.4887 0.1330  2 Co 1.90-1.93, 1 Li 2.09
6 O 0.4945 0.0239 0.6267  1 Co 1.73
7 O 0.4782 0.0122 0.1220  1 Co 1.93, 1 Mn 1.96, 2 Li 2.10-2.12
8 O 0.0197 0.2501 0.5087  1 Co 1.88, 2 Li 2.01
9 O 0.9773 0.7487 0.4904  1 Co 1.88, 2 Li 2.00-2.02
10 O 0.5200 0.4800 0.6287  1 Co 1.94, 1 Mn 1.96, 1 Li 2.11
11 O 0.0245 0.7421 0.7550  1 Co 1.94, 1 Mn 1.96, 2 Li 2.09-2.16
12 O 0.0251 0.2436 0.0069  1 Co 1.94, 1 Mn 1.95, 2 Li 2.06-2.14
13 O 0.9765 0.2579 0.7433  1 Mn 1.93, 1 Co 1.98, 2 Li 2.06-2.13
14 O 0.5233 0.9882 0.8789  1 Co 1.91, 1 Mn 1.96, 2 Li 2.10-2.11
15 O 0.0240 0.7373 0.2574  2 Co 1.89-1.96, 1 Li 2.10
16 O 0.4774 0.5116 0.8714  1 Co 1.91, 1 Mn 1.96, 2 Li 2.11
17 Li 0.5012 0.2496 0.8746  6 O 2.10-2.24
18 Li 0.9997 0.4999 0.0005  6 O 2.06-2.24
19 Li 0.5011 0.2463 0.3776  6 O 2.12-2.24
20 Li 0.9972 0.9986 0.2508  6 O 2.03-2.22
21 Li 0.4982 0.7560 0.6207  6 O 2.12-2.25
22 Li 0.4998 0.7482 0.1267  6 O 2.09-2.25
23 Li 0.9995 0.9995 0.4994  4 O 2.01-2.04
24 Li 0.0023 0.0018 0.7494  6 O 2.04-2.22
25 Li 0.0005 0.4999 0.4995  6 O 2.00-2.25
26 Co 0.4980 0.7591 0.3800  3 O 1.74-1.92
27 Co 0.5040 0.2389 0.6184  2 O 1.73-1.88
28 Co 0.0016 0.5021 0.2505  4 O 1.89-1.93
29 Co 0.4998 0.7500 0.8747  4 O 1.91-1.94
30 Co 0.4989 0.2520 0.1269  4 O 1.90-1.94
31 Mn 0.0008 0.4981 0.7490  4 O 1.93-1.96
32 Mn 0.0002 0.0007 0.0006  4 O 1.95-1.96

- Energy: -180.4 eV for the cell shown
- Formation energy: -1.647 eV/atom
- M_tot: 0.291 μB/cell
- Energy above the most stable polymorph in this dataset: 217.4 meV per atom
- SG: P1, No. 1
- Energy with MP2020 corrections: -6.34 eV/atom

5.
K2NiO2 | GGA+U | relaxed

Cell lengths 3.9796, 3.9796, 7.1266 Å; angles 106.21, 106.21, 90.00 degrees
Last column: nearest neighbours and their distance in Å.
Fractional coordinates of all 5 atoms:
1 K 0.6595 0.6595 0.3191  5 O 2.73-2.84
2 K 0.3405 0.3405 0.6809  5 O 2.73-2.84
3 Ni 0.0000 0.0000 0.0000  2 O 1.72
4 O 0.8684 0.8684 0.7368  1 Ni 1.72
5 O 0.1316 0.1316 0.2632  1 Ni 1.72

- Energy: -20.5 eV for the cell shown
- Formation energy: -1.309 eV/atom
- SG: I4/mmm, No. 139
- Energy with MP2020 corrections: -4.89 eV/atom

6.
FeBiO3 | GGA+U | relaxed

Cell lengths 5.6622, 5.6625, 5.8186 Å; angles 119.12, 90.00, 120.00 degrees
Last column: nearest neighbours and their distance in Å.
Fractional coordinates of all 10 atoms:
1 O 0.1911 0.9073 0.6236  2 Fe 1.96-2.13
2 O 0.2163 0.4325 0.1236  2 Fe 1.96-2.13
3 O 0.6911 0.9073 0.1236  2 Fe 1.96-2.13
4 O 0.7163 0.4325 0.6236  2 Fe 1.96-2.13
5 O 0.2162 0.9073 0.1236  2 Fe 1.96-2.13
6 O 0.7162 0.9073 0.6236  2 Fe 1.96-2.13
7 Fe 0.4754 0.9508 0.4261  6 O 1.96-2.13
8 Fe 0.9754 0.9508 0.9261  6 O 1.96-2.13
9 Bi 0.7646 0.5292 0.2938  3 O 2.22
10 Bi 0.2646 0.5292 0.7938  3 O 2.22

- Energy: -62.2 eV for the cell shown
- Formation energy: -1.641 eV/atom
- M_tot: 0.000 μB/cell
- Maximum piezoelectric response: 3.6 C/m²
- Energy with MP2020 corrections: -7.08 eV/atom